No. 1
Density functional theory data (PBE) for a relaxed NaB5H8O13 crystal.

a = 9.889 Å, b = 9.889 Å, c = 13.664 Å
α = 77.78°, β = 77.78°, γ = 111.07°
Fractional coordinates of all 108 atoms:
H  0.248  0.707  0.909
H  0.884  0.274  0.822
H  0.892  0.597  0.567
H  0.293  0.752  0.591
H  0.361  0.187  0.838
H  0.702  0.219  0.583
H  0.781  0.298  0.917
H  0.597  0.892  0.067
H  0.036  0.629  0.676
H  0.406  0.864  0.750
H  0.726  0.116  0.678
H  0.219  0.702  0.083
H  0.639  0.813  0.162
H  0.629  0.036  0.176
H  0.944  0.319  0.601
H  0.319  0.944  0.101
H  0.116  0.726  0.178
H  0.136  0.594  0.750
H  0.403  0.108  0.933
H  0.056  0.681  0.399
H  0.864  0.406  0.250
H  0.187  0.361  0.338
H  0.108  0.403  0.433
H  0.707  0.248  0.409
H  0.298  0.781  0.417
H  0.964  0.371  0.324
H  0.681  0.056  0.899
H  0.752  0.293  0.091
H  0.594  0.136  0.250
H  0.813  0.639  0.662
H  0.274  0.884  0.322
H  0.371  0.964  0.824
O  0.867  0.327  0.306
O  0.194  0.077  0.419
O  0.124  0.417  0.357
O  0.182  0.471  0.852
O  0.614  0.200  0.474
O  0.929  0.680  0.251
O  0.325  0.307  0.274
O  0.247  0.777  0.362
O  0.818  0.529  0.148
O  0.133  0.673  0.694
O  0.327  0.867  0.806
O  0.071  0.320  0.749
O  0.680  0.929  0.751
O  0.471  0.571  0.363
O  0.529  0.429  0.637
O  0.941  0.632  0.429
O  0.705  0.590  0.402
O  0.806  0.923  0.581
O  0.655  0.888  0.462
O  0.529  0.818  0.648
O  0.368  0.059  0.071
O  0.082  0.009  0.607
O  0.991  0.918  0.893
O  0.223  0.753  0.138
O  0.320  0.071  0.249
O  0.923  0.806  0.081
O  0.571  0.471  0.863
O  0.590  0.705  0.902
O  0.429  0.529  0.137
O  0.077  0.194  0.919
O  0.876  0.583  0.643
O  0.675  0.693  0.726
O  0.410  0.295  0.098
O  0.632  0.941  0.929
O  0.888  0.655  0.962
O  0.918  0.991  0.393
O  0.059  0.368  0.571
O  0.307  0.325  0.774
O  0.800  0.386  0.026
O  0.471  0.182  0.352
O  0.200  0.614  0.974
O  0.583  0.876  0.143
O  0.295  0.410  0.598
O  0.009  0.082  0.107
O  0.753  0.223  0.638
O  0.417  0.124  0.857
O  0.345  0.112  0.538
O  0.112  0.345  0.038
O  0.777  0.247  0.862
O  0.386  0.800  0.526
O  0.693  0.675  0.226
O  0.673  0.133  0.194
B  0.671  0.842  0.676
B  0.834  0.521  0.047
B  0.206  0.067  0.517
B  0.861  0.636  0.359
B  0.158  0.329  0.824
B  0.166  0.479  0.953
B  0.388  0.376  0.166
B  0.636  0.861  0.859
B  0.794  0.933  0.483
B  0.329  0.158  0.324
B  0.139  0.364  0.641
B  0.067  0.206  0.017
B  0.376  0.388  0.666
B  0.521  0.834  0.547
B  0.479  0.166  0.453
B  0.364  0.139  0.141
B  0.624  0.612  0.334
B  0.842  0.671  0.176
B  0.933  0.794  0.983
B  0.612  0.624  0.834
Na  0.125  0.875  0.750
Na  0.341  0.659  0.250
Na  0.875  0.125  0.250
Na  0.659  0.341  0.750

***

No. 2
Density functional theory data (PBE) for a relaxed NaB7H18O20 crystal.

a = 10.487 Å, b = 13.037 Å, c = 15.527 Å
α = 90.00°, β = 100.72°, γ = 90.00°
Fractional coordinates of all 184 atoms:
O  0.669  0.360  0.804
O  0.852  0.419  0.713
O  0.594  0.307  0.271
O  0.350  0.299  0.307
O  0.188  0.350  0.032
O  0.913  0.297  0.615
O  0.333  0.464  0.237
O  0.087  0.797  0.885
O  0.812  0.850  0.468
O  0.171  0.600  0.957
O  0.669  0.140  0.304
O  0.410  0.238  0.580
O  0.071  0.522  0.413
O  0.961  0.712  0.179
O  0.148  0.919  0.787
O  0.333  0.036  0.737
O  0.434  0.644  0.454
O  0.829  0.100  0.543
O  0.929  0.022  0.087
O  0.434  0.856  0.954
O  0.410  0.262  0.080
O  0.667  0.964  0.263
O  0.372  0.421  0.587
O  0.628  0.921  0.913
O  0.590  0.738  0.920
O  0.350  0.201  0.807
O  0.071  0.978  0.913
O  0.913  0.203  0.115
O  0.013  0.646  0.512
O  0.458  0.554  0.860
O  0.171  0.900  0.457
O  0.831  0.475  0.884
O  0.331  0.640  0.196
O  0.650  0.701  0.693
O  0.406  0.693  0.729
O  0.406  0.807  0.229
O  0.542  0.446  0.140
O  0.987  0.354  0.488
O  0.372  0.079  0.087
O  0.566  0.144  0.046
O  0.782  0.254  0.219
O  0.169  0.525  0.116
O  0.218  0.754  0.281
O  0.929  0.478  0.587
O  0.831  0.025  0.384
O  0.169  0.975  0.616
O  0.711  0.899  0.614
O  0.817  0.593  0.670
O  0.148  0.581  0.287
O  0.188  0.150  0.532
O  0.088  0.952  0.249
O  0.289  0.101  0.386
O  0.183  0.093  0.830
O  0.711  0.601  0.114
O  0.542  0.054  0.640
O  0.331  0.860  0.696
O  0.087  0.703  0.385
O  0.817  0.907  0.170
O  0.650  0.799  0.193
O  0.667  0.536  0.763
O  0.912  0.048  0.751
O  0.628  0.579  0.413
O  0.912  0.452  0.251
O  0.218  0.746  0.781
O  0.961  0.788  0.679
O  0.013  0.854  0.012
O  0.782  0.246  0.719
O  0.039  0.288  0.821
O  0.594  0.193  0.771
O  0.566  0.356  0.546
O  0.458  0.946  0.360
O  0.829  0.400  0.043
O  0.039  0.212  0.321
O  0.852  0.081  0.213
O  0.088  0.548  0.749
O  0.812  0.650  0.968
O  0.183  0.407  0.330
O  0.987  0.146  0.988
O  0.289  0.399  0.886
O  0.590  0.762  0.420
H  0.173  0.586  0.021
H  0.645  0.546  0.113
H  0.818  0.586  0.931
H  0.121  0.264  0.807
H  0.592  0.986  0.927
H  0.182  0.414  0.069
H  0.879  0.736  0.193
H  0.182  0.086  0.569
H  0.767  0.872  0.516
H  0.408  0.486  0.573
H  0.767  0.628  0.016
H  0.501  0.610  0.898
H  0.675  0.836  0.634
H  0.675  0.664  0.134
H  0.122  0.882  0.260
H  0.026  0.244  0.869
H  0.594  0.137  0.726
H  0.827  0.414  0.979
H  0.685  0.719  0.927
H  0.501  0.890  0.398
H  0.233  0.128  0.484
H  0.406  0.863  0.274
H  0.325  0.336  0.866
H  0.835  0.493  0.257
H  0.398  0.708  0.471
H  0.131  0.834  0.443
H  0.121  0.236  0.307
H  0.475  0.028  0.671
H  0.565  0.794  0.213
H  0.525  0.528  0.829
H  0.985  0.584  0.541
H  0.878  0.118  0.740
H  0.475  0.472  0.171
H  0.565  0.706  0.713
H  0.827  0.086  0.479
H  0.315  0.219  0.573
H  0.165  0.507  0.743
H  0.435  0.294  0.287
H  0.315  0.281  0.073
H  0.818  0.914  0.431
H  0.525  0.972  0.329
H  0.406  0.637  0.774
H  0.408  0.014  0.073
H  0.122  0.618  0.760
H  0.985  0.916  0.041
H  0.592  0.514  0.427
H  0.869  0.334  0.057
H  0.398  0.792  0.971
H  0.325  0.164  0.366
H  0.355  0.454  0.887
H  0.233  0.372  0.984
H  0.878  0.382  0.240
H  0.974  0.756  0.131
H  0.499  0.390  0.102
H  0.173  0.914  0.521
H  0.499  0.110  0.602
H  0.015  0.084  0.959
H  0.645  0.954  0.613
H  0.974  0.744  0.631
H  0.835  0.007  0.757
H  0.594  0.363  0.226
H  0.602  0.208  0.029
H  0.015  0.416  0.459
H  0.685  0.781  0.427
H  0.879  0.764  0.693
H  0.435  0.206  0.787
H  0.165  0.993  0.243
H  0.869  0.166  0.557
H  0.131  0.666  0.943
H  0.355  0.046  0.387
H  0.602  0.292  0.529
H  0.026  0.256  0.369
B  0.290  0.392  0.289
B  0.854  0.318  0.686
B  0.873  0.000  0.160
B  0.553  0.662  0.429
B  0.710  0.892  0.211
B  0.873  0.500  0.660
B  0.737  0.045  0.316
B  0.854  0.182  0.186
B  0.054  0.624  0.437
B  0.447  0.338  0.571
B  0.263  0.545  0.184
B  0.317  0.731  0.234
B  0.127  0.000  0.840
B  0.290  0.108  0.789
B  0.146  0.818  0.814
B  0.054  0.876  0.937
B  0.737  0.455  0.816
B  0.710  0.608  0.711
B  0.946  0.124  0.063
B  0.447  0.162  0.071
B  0.263  0.955  0.684
B  0.553  0.838  0.929
B  0.683  0.231  0.266
B  0.127  0.500  0.340
B  0.317  0.769  0.734
B  0.146  0.682  0.314
B  0.683  0.269  0.766
B  0.946  0.376  0.563
Na  0.053  0.039  0.384
Na  0.947  0.539  0.116
Na  0.947  0.961  0.616
Na  0.053  0.461  0.884

***

No. 3
Density functional theory data (PBE) for a relaxed NaB2H5O6 crystal.

a = 9.672 Å, b = 9.672 Å, c = 9.672 Å
α = 71.40°, β = 71.40°, γ = 71.40°
Fractional coordinates of all 84 atoms:
O  0.151  0.849  0.000
O  0.222  0.914  0.275
O  0.175  0.528  0.081
O  0.515  0.286  0.960
O  0.448  0.815  0.686
O  0.725  0.086  0.778
O  0.491  0.561  0.231
O  0.825  0.919  0.472
O  0.286  0.960  0.515
O  0.561  0.231  0.491
O  0.231  0.491  0.561
O  0.914  0.275  0.222
O  0.815  0.686  0.448
O  0.275  0.222  0.914
O  0.778  0.725  0.086
O  0.000  0.465  0.535
O  0.849  0.000  0.151
O  0.439  0.509  0.769
O  0.686  0.448  0.815
O  0.509  0.769  0.439
O  0.485  0.040  0.714
O  0.000  0.151  0.849
O  0.552  0.314  0.185
O  0.528  0.081  0.175
O  0.769  0.439  0.509
O  0.314  0.185  0.552
O  0.185  0.552  0.314
O  0.714  0.485  0.040
O  0.081  0.175  0.528
O  0.472  0.825  0.919
O  0.086  0.778  0.725
O  0.535  0.000  0.465
O  0.040  0.714  0.485
O  0.465  0.535  0.000
O  0.960  0.515  0.286
O  0.919  0.472  0.825
Na  0.915  0.915  0.915
Na  0.500  0.500  0.500
Na  0.500  0.825  0.175
Na  0.085  0.085  0.085
Na  0.175  0.500  0.825
Na  0.825  0.175  0.500
H  0.436  0.617  0.736
H  0.835  0.332  0.167
H  0.264  0.383  0.564
H  0.474  0.715  0.943
H  0.943  0.474  0.715
H  0.238  0.942  0.358
H  0.668  0.165  0.833
H  0.153  0.741  0.028
H  0.358  0.238  0.942
H  0.383  0.564  0.264
H  0.847  0.972  0.259
H  0.715  0.943  0.474
H  0.736  0.436  0.617
H  0.332  0.167  0.835
H  0.167  0.835  0.332
H  0.617  0.736  0.436
H  0.972  0.259  0.847
H  0.058  0.762  0.642
H  0.028  0.153  0.741
H  0.285  0.526  0.057
H  0.762  0.642  0.058
H  0.833  0.668  0.165
H  0.564  0.264  0.383
H  0.526  0.057  0.285
H  0.259  0.847  0.972
H  0.942  0.358  0.238
H  0.741  0.028  0.153
H  0.057  0.285  0.526
H  0.642  0.058  0.762
H  0.165  0.833  0.668
B  0.524  0.447  0.884
B  0.230  0.107  0.530
B  0.530  0.230  0.107
B  0.893  0.770  0.470
B  0.476  0.116  0.553
B  0.470  0.893  0.770
B  0.553  0.476  0.116
B  0.107  0.530  0.230
B  0.116  0.553  0.476
B  0.447  0.884  0.524
B  0.884  0.524  0.447
B  0.770  0.470  0.893

***

| no. | total magnetic moment (μB per formula unit) | calculated formation energy (eV/f.u.) | volume (Å³/cell) |
| --- | --- | --- | --- |
| 1 | 2.001 | -52.21 | 1156 |
| 2 | 0.000 | -85.07 | 2086 |
| 3 | 0.000 | -27.36 | 789 |